An optimized crystal structure of MnV4Cu3O12. Source: the Materials Project, functional PBE+U.

## Properties
Energy of formation = -182 kJ per mole of atoms
Symmetry = Im-3 (204)
Total magnetic moment = 6.1 Bohr magnetons per cell
Electronic total energy = -138.18 eV per cell
E (MP2020) = -7.744 eV per atom

a = 6.383 Å, b = 6.383 Å, c = 6.383 Å
α = 109.47°, β = 109.47°, γ = 109.47°
Element x y z (fractional)
V1 0.000 0.500 0.000
V2 0.000 0.000 0.500
V3 0.500 0.000 0.000
V4 0.500 0.500 0.500
Cu1 0.500 0.000 0.500
Cu2 0.500 0.500 0.000
Cu3 0.000 0.500 0.500
O1 0.480 0.300 0.180
O2 0.300 0.180 0.480
O3 0.180 0.480 0.300
O4 0.820 0.520 0.700
O5 0.881 0.700 0.180
O6 0.119 0.300 0.820
O7 0.700 0.180 0.881
O8 0.520 0.700 0.820
O9 0.700 0.820 0.520
O10 0.820 0.119 0.300
O11 0.180 0.881 0.700
O12 0.300 0.820 0.119
Mn1 0.000 0.000 0.000

An optimized crystal structure of PW3O11. Source: the Materials Project, functional PBE+U.

## Properties
Energy of formation = -223 kJ per mole of atoms
Symmetry = P2_12_12_1 (19)
Total magnetic moment = 3.6 Bohr magnetons per cell
Electronic total energy = -449.77 eV per cell
E (MP2020) = -8.888 eV per atom

a = 5.397 Å, b = 6.703 Å, c = 24.049 Å
α = 90.00°, β = 90.00°, γ = 90.00°
Element x y z (fractional)
O1 0.258 0.915 0.465
O2 0.017 0.223 0.698
O3 0.754 0.242 0.402
O4 0.018 0.396 0.132
O5 0.515 0.428 0.138
O6 0.980 0.231 0.503
O7 0.951 0.743 0.190
O8 0.967 0.065 0.063
O9 0.549 0.257 0.690
O10 0.758 0.585 0.535
O11 0.985 0.572 0.638
O12 0.242 0.429 0.833
O13 0.258 0.571 0.333
O14 0.517 0.277 0.302
O15 0.246 0.742 0.098
O16 0.520 0.769 0.003
O17 0.518 0.104 0.868
O18 0.451 0.757 0.810
O19 0.982 0.896 0.368
O20 0.254 0.258 0.598
O21 0.235 0.446 0.235
O22 0.735 0.054 0.765
O23 0.466 0.100 0.070
O24 0.742 0.415 0.035
O25 0.033 0.565 0.437
O26 0.015 0.072 0.862
O27 0.242 0.085 0.965
O28 0.966 0.400 0.930
O29 0.265 0.554 0.735
O30 0.533 0.935 0.563
O31 0.480 0.269 0.497
O32 0.049 0.243 0.310
O33 0.534 0.600 0.430
O34 0.020 0.731 0.997
O35 0.983 0.723 0.802
O36 0.485 0.928 0.362
O37 0.746 0.758 0.902
O38 0.742 0.071 0.167
O39 0.765 0.946 0.265
O40 0.483 0.777 0.198
O41 0.482 0.604 0.632
O42 0.034 0.900 0.570
O43 0.467 0.435 0.937
O44 0.758 0.929 0.667
P1 0.765 0.116 0.704
P2 0.265 0.384 0.296
P3 0.235 0.616 0.796
P4 0.735 0.884 0.204
W1 0.744 0.583 0.969
W2 0.756 0.417 0.469
W3 0.741 0.243 0.097
W4 0.244 0.917 0.031
W5 0.756 0.081 0.339
W6 0.744 0.919 0.839
W7 0.256 0.083 0.531
W8 0.241 0.257 0.903
W9 0.759 0.757 0.597
W10 0.256 0.419 0.661
W11 0.244 0.581 0.161
W12 0.259 0.743 0.403

An optimized crystal structure of NaMgNiO2. Source: the Materials Project, functional PBE+U.

## Properties
Energy of formation = -147 kJ per mole of atoms
Symmetry = P1 (1)
Total magnetic moment = 1.0 Bohr magnetons per cell
Electronic total energy = -22.29 eV per cell
E (MP2020) = -5.241 eV per atom

a = 3.240 Å, b = 3.356 Å, c = 6.742 Å
α = 91.70°, β = 77.17°, γ = 63.43°
Element x y z (fractional)
Mg1 0.464 0.257 0.821
Ni1 0.924 0.998 0.138
O1 0.869 0.562 0.708
O2 0.260 0.371 0.138
Na1 0.379 0.750 0.457

An optimized crystal structure of Li3MnCoNiO6. Source: the Materials Project, functional PBE+U.

## Properties
Energy of formation = -176 kJ per mole of atoms
Symmetry = C2 (5)
Total magnetic moment = 9.0 Bohr magnetons per cell
Electronic total energy = -69.43 eV per cell
E (MP2020) = -6.617 eV per atom

a = 5.094 Å, b = 5.094 Å, c = 5.120 Å
α = 80.80°, β = 80.80°, γ = 120.70°
Element x y z (fractional)
O1 0.720 0.735 0.769
O2 0.423 0.067 0.774
O3 0.933 0.577 0.226
O4 0.265 0.280 0.231
O5 0.571 0.910 0.226
O6 0.090 0.429 0.774
Li1 0.167 0.833 0.500
Li2 0.500 0.500 0.500
Li3 0.834 0.166 0.500
Ni1 0.000 0.000 0.000
Mn1 0.334 0.666 0.000
Co1 0.665 0.335 0.000

An optimized crystal structure of MgCo2Ag2O6. Source: the Materials Project, functional PBE+U.

## Properties
Energy of formation = -104 kJ per mole of atoms
Symmetry = R-3 (148)
Total magnetic moment = 5.8 Bohr magnetons per cell
Electronic total energy = -55.58 eV per cell
E (MP2020) = -5.726 eV per atom

a = 5.961 Å, b = 5.958 Å, c = 5.963 Å
α = 52.73°, β = 52.71°, γ = 52.72°
Element x y z (fractional)
O1 0.587 0.969 0.169
O2 0.830 0.413 0.031
O3 0.969 0.170 0.587
O4 0.170 0.587 0.969
O5 0.413 0.031 0.831
O6 0.031 0.830 0.413
Ag1 0.632 0.632 0.632
Ag2 0.368 0.368 0.368
Mg1 0.000 0.000 0.000
Co1 0.174 0.174 0.174
Co2 0.826 0.826 0.826

An optimized crystal structure of LiNi2O4. Source: the Materials Project, functional PBE+U.

## Properties
Energy of formation = -115 kJ per mole of atoms
Symmetry = Fd-3m (227)
Total magnetic moment = 2.0 Bohr magnetons per cell
Electronic total energy = -67.54 eV per cell
E (MP2020) = -5.943 eV per atom

a = 5.758 Å, b = 5.758 Å, c = 5.758 Å
α = 60.00°, β = 60.00°, γ = 60.00°
Element x y z (fractional)
O1 0.888 0.888 0.335
O2 0.335 0.888 0.888
O3 0.362 0.362 0.362
O4 0.888 0.888 0.888
O5 0.362 0.915 0.362
O6 0.915 0.362 0.362
O7 0.362 0.362 0.915
O8 0.888 0.335 0.888
Li1 0.750 0.750 0.750
Li2 0.500 0.500 0.500
Ni1 0.125 0.625 0.125
Ni2 0.125 0.125 0.125
Ni3 0.125 0.125 0.625
Ni4 0.625 0.125 0.125

An optimized crystal structure of VPbClO3. Source: the Materials Project, functional PBE+U.

## Properties
Energy of formation = -188 kJ per mole of atoms
Symmetry = Pnma (62)
Total magnetic moment = 0.0 Bohr magnetons per cell
Electronic total energy = -149.64 eV per cell
E (MP2020) = -6.862 eV per atom

a = 5.359 Å, b = 7.312 Å, c = 10.570 Å
α = 90.00°, β = 90.00°, γ = 90.00°
Element x y z (fractional)
Cl1 0.250 0.949 0.105
Cl2 0.250 0.551 0.605
Cl3 0.750 0.449 0.395
Cl4 0.750 0.051 0.895
Pb1 0.250 0.889 0.842
Pb2 0.250 0.611 0.342
Pb3 0.750 0.111 0.158
Pb4 0.750 0.389 0.658
O1 0.508 0.113 0.585
O2 0.750 0.730 0.135
O3 0.008 0.887 0.415
O4 0.250 0.230 0.365
O5 0.492 0.613 0.915
O6 0.992 0.113 0.585
O7 0.492 0.887 0.415
O8 0.008 0.613 0.915
O9 0.750 0.770 0.635
O10 0.250 0.270 0.865
O11 0.992 0.387 0.085
O12 0.508 0.387 0.085
V1 0.250 0.067 0.472
V2 0.750 0.567 0.028
V3 0.750 0.933 0.528
V4 0.250 0.433 0.972

An optimized crystal structure of MgCuMo2O7. Source: the Materials Project, functional PBE+U.

## Properties
Energy of formation = -190 kJ per mole of atoms
Symmetry = P2/c (13)
Total magnetic moment = 6.0 Bohr magnetons per cell
Electronic total energy = -434.54 eV per cell
E (MP2020) = -7.603 eV per atom

a = 8.867 Å, b = 9.404 Å, c = 11.167 Å
α = 102.41°, β = 90.00°, γ = 90.00°
Element x y z (fractional)
O1 0.085 0.548 0.890
O2 0.264 0.445 0.366
O3 0.583 0.197 0.714
O4 0.421 0.600 0.880
O5 0.753 0.220 0.971
O6 0.583 0.803 0.786
O7 0.077 0.727 0.282
O8 0.423 0.918 0.556
O9 0.071 0.865 0.547
O10 0.753 0.780 0.529
O11 0.915 0.452 0.110
O12 0.264 0.555 0.134
O13 0.577 0.918 0.056
O14 0.421 0.400 0.620
O15 0.579 0.600 0.380
O16 0.915 0.548 0.390
O17 0.579 0.400 0.120
O18 0.812 0.000 0.750
O19 0.071 0.135 0.953
O20 0.423 0.082 0.944
O21 0.294 0.339 0.914
O22 0.247 0.780 0.029
O23 0.417 0.197 0.214
O24 0.247 0.220 0.471
O25 0.760 0.108 0.190
O26 0.923 0.727 0.782
O27 0.736 0.555 0.634
O28 0.706 0.661 0.086
O29 0.417 0.803 0.286
O30 0.240 0.108 0.690
O31 0.706 0.339 0.414
O32 0.188 0.000 0.250
O33 0.760 0.892 0.310
O34 0.294 0.661 0.586
O35 0.929 0.135 0.453
O36 0.085 0.452 0.610
O37 0.736 0.445 0.866
O38 0.240 0.892 0.810
O39 0.929 0.865 0.047
O40 0.577 0.082 0.444
O41 0.923 0.273 0.718
O42 0.077 0.273 0.218
Mo1 0.758 0.798 0.707
Mo2 0.756 0.877 0.127
Mo3 0.736 0.535 0.459
Mo4 0.242 0.202 0.293
Mo5 0.758 0.202 0.793
Mo6 0.736 0.465 0.041
Mo7 0.756 0.123 0.373
Mo8 0.244 0.123 0.873
Mo9 0.242 0.798 0.207
Mo10 0.264 0.465 0.541
Mo11 0.264 0.535 0.959
Mo12 0.244 0.877 0.627
Mg1 0.425 0.154 0.579
Mg2 0.575 0.846 0.421
Mg3 0.425 0.846 0.921
Mg4 0.925 0.500 0.750
Mg5 0.575 0.154 0.079
Mg6 0.075 0.500 0.250
Cu1 0.437 0.500 0.250
Cu2 0.070 0.184 0.591
Cu3 0.930 0.184 0.091
Cu4 0.070 0.816 0.909
Cu5 0.563 0.500 0.750
Cu6 0.930 0.816 0.409

An optimized crystal structure of Ti11Fe13O36. Source: the Materials Project, functional PBE+U.

## Properties
Energy of formation = -253 kJ per mole of atoms
Symmetry = P1 (1)
Total magnetic moment = 54.0 Bohr magnetons per cell
Electronic total energy = -478.47 eV per cell
E (MP2020) = -8.876 eV per atom

a = 5.595 Å, b = 10.329 Å, c = 11.710 Å
α = 102.31°, β = 97.99°, γ = 89.22°
Element x y z (fractional)
Fe1 0.506 0.107 0.428
Fe2 0.170 0.938 0.764
Fe3 0.834 0.271 0.095
Fe4 0.173 0.440 0.761
Fe5 0.504 0.611 0.428
Fe6 0.836 0.557 0.239
Fe7 0.840 0.775 0.097
Fe8 0.159 0.728 0.906
Fe9 0.163 0.224 0.905
Fe10 0.338 0.024 0.098
Fe11 0.015 0.359 0.431
Fe12 0.493 0.894 0.572
Fe13 0.499 0.393 0.568
O1 0.318 0.552 0.941
O2 0.529 0.522 0.739
O3 0.228 0.532 0.505
O4 0.115 0.638 0.164
O5 0.200 0.353 0.073
O6 0.899 0.359 0.840
O7 0.075 0.129 0.172
O8 0.353 0.278 0.390
O9 0.015 0.616 0.726
O10 0.649 0.723 0.610
O11 0.677 0.449 0.057
O12 0.992 0.385 0.267
O13 0.479 0.478 0.263
O14 0.434 0.805 0.829
O15 0.434 0.305 0.826
O16 0.770 0.973 0.495
O17 0.318 0.054 0.938
O18 0.862 0.173 0.388
O19 0.577 0.697 0.173
O20 0.981 0.906 0.278
O21 0.857 0.693 0.403
O22 0.140 0.309 0.593
O23 0.186 0.846 0.074
O24 0.761 0.477 0.497
O25 0.131 0.813 0.593
O26 0.561 0.192 0.177
O27 0.340 0.781 0.388
O28 0.490 0.975 0.260
O29 0.891 0.863 0.840
O30 0.234 0.029 0.508
O31 0.687 0.954 0.062
O32 0.805 0.645 0.928
O33 0.016 0.111 0.724
O34 0.528 0.023 0.738
O35 0.804 0.147 0.930
O36 0.660 0.220 0.609
Ti1 0.671 0.192 0.764
Ti2 0.986 0.637 0.569
Ti3 0.828 0.061 0.238
Ti4 0.662 0.476 0.901
Ti5 0.326 0.316 0.239
Ti6 0.670 0.693 0.765
Ti7 0.010 0.857 0.437
Ti8 0.994 0.141 0.573
Ti9 0.343 0.520 0.094
Ti10 0.333 0.805 0.230
Ti11 0.653 0.978 0.903

An optimized crystal structure of NiPH16NO10. Source: the Materials Project, functional PBE+U.

## Properties
Energy of formation = -131 kJ per mole of atoms
Symmetry = Pmn2_1 (31)
Electronic total energy = -306.46 eV per cell
E (MP2020) = -5.608 eV per atom

a = 6.083 Å, b = 6.970 Å, c = 11.241 Å
α = 90.00°, β = 90.00°, γ = 90.00°
Element x y z (fractional)
O1 0.273 0.275 0.762
O2 0.727 0.225 0.262
O3 0.727 0.775 0.262
O4 0.979 0.500 0.362
O5 0.021 0.000 0.862
O6 0.239 0.000 0.056
O7 0.952 0.000 0.447
O8 0.472 0.702 0.995
O9 0.119 0.684 0.543
O10 0.881 0.816 0.043
O11 0.881 0.184 0.043
O12 0.273 0.725 0.762
O13 0.761 0.500 0.556
O14 0.119 0.316 0.543
O15 0.528 0.202 0.495
O16 0.317 0.000 0.291
O17 0.472 0.298 0.995
O18 0.048 0.500 0.947
O19 0.683 0.500 0.791
O20 0.528 0.798 0.495
H1 0.995 0.382 0.991
H2 0.620 0.319 0.514
H3 0.371 0.244 0.503
H4 0.535 0.880 0.751
H5 0.822 0.500 0.837
H6 0.221 0.500 0.281
H7 0.380 0.819 0.014
H8 0.178 0.000 0.337
H9 0.779 0.000 0.781
H10 0.829 0.680 0.302
H11 0.792 0.199 0.181
H12 0.380 0.181 0.014
H13 0.629 0.744 0.003
H14 0.629 0.256 0.003
H15 0.465 0.620 0.251
H16 0.208 0.301 0.681
H17 0.829 0.320 0.302
H18 0.995 0.618 0.991
H19 0.171 0.820 0.802
H20 0.171 0.180 0.802
H21 0.208 0.699 0.681
H22 0.535 0.120 0.751
H23 0.282 0.000 0.204
H24 0.371 0.756 0.503
H25 0.465 0.380 0.251
H26 0.792 0.801 0.181
H27 0.346 0.500 0.142
H28 0.005 0.882 0.491
H29 0.654 0.000 0.642
H30 0.005 0.118 0.491
H31 0.620 0.681 0.514
H32 0.718 0.500 0.704
N1 0.370 0.500 0.232
N2 0.630 0.000 0.732
Ni1 0.628 0.000 0.372
Ni2 0.372 0.500 0.872
P1 0.003 0.000 0.001
P2 0.997 0.500 0.501

Question: Number 9 is which compound?
Answer: Ti11Fe13O36